# 1
Material: SnPO4F
Method: DFT, PBE
State: relaxed

Results
**Formation energy from the elements**: -17.73 eV/f.u.
**MP2020-corrected energy**: -6.980 eV per atom
**Final energy**: -45.65 eV/f.u.

POSCAR file:
```
SnPO4F
1.0
7.860 0.000 0.000
0.000 6.446 0.000
0.000 0.000 7.378
Sn P O F
4 4 16 4
direct
0.128 0.250 0.245 Sn
0.372 0.750 0.745 Sn
0.628 0.250 0.255 Sn
0.872 0.750 0.755 Sn
0.128 0.750 0.125 P
0.372 0.250 0.625 P
0.628 0.750 0.375 P
0.872 0.250 0.875 P
0.038 0.250 0.987 O
0.131 0.562 0.255 O
0.131 0.938 0.255 O
0.211 0.250 0.505 O
0.289 0.750 0.005 O
0.369 0.062 0.755 O
0.369 0.438 0.755 O
0.462 0.750 0.487 O
0.538 0.250 0.513 O
0.631 0.562 0.245 O
0.631 0.938 0.245 O
0.711 0.250 0.995 O
0.789 0.750 0.495 O
0.869 0.062 0.745 O
0.869 0.438 0.745 O
0.962 0.750 0.013 O
0.120 0.750 0.653 F
0.380 0.250 0.153 F
0.620 0.750 0.847 F
0.880 0.250 0.347 F
```

# 2
Material: Fe3SiN4
Method: DFT, PBE
State: relaxed

Results
**Total magnetic moment**: 8.0 Bohr magnetons per cell
**Formation energy from the elements**: -2.98 eV/f.u.
**MP2020-corrected energy**: -8.395 eV per atom
**Final energy**: -65.72 eV/f.u.

POSCAR file:
```
Fe3SiN4
1.0
10.322 0.000 0.000
0.000 5.843 0.000
0.000 0.000 5.440
Fe Si N
12 4 16
direct
0.062 0.250 0.146 Fe
0.160 0.527 0.858 Fe
0.160 0.973 0.858 Fe
0.340 0.027 0.358 Fe
0.340 0.473 0.358 Fe
0.438 0.750 0.646 Fe
0.562 0.250 0.354 Fe
0.660 0.527 0.642 Fe
0.660 0.973 0.642 Fe
0.840 0.027 0.142 Fe
0.840 0.473 0.142 Fe
0.938 0.750 0.854 Fe
0.090 0.750 0.327 Si
0.410 0.250 0.827 Si
0.590 0.750 0.173 Si
0.910 0.250 0.673 Si
0.068 0.250 0.793 N
0.085 0.750 0.647 N
0.169 0.507 0.217 N
0.169 0.993 0.217 N
0.331 0.007 0.717 N
0.331 0.493 0.717 N
0.415 0.250 0.147 N
0.432 0.750 0.293 N
0.568 0.250 0.707 N
0.585 0.750 0.853 N
0.669 0.507 0.283 N
0.669 0.993 0.283 N
0.831 0.007 0.783 N
0.831 0.493 0.783 N
0.915 0.250 0.353 N
0.932 0.750 0.207 N
```

# 3
Material: MnCuSb
Method: DFT, PBE
State: relaxed

Results
**Total magnetic moment**: 4.5 Bohr magnetons per cell
**Formation energy from the elements**: 0.10 eV/f.u.
**MP2020-corrected energy**: -5.764 eV per atom
**Final energy**: -17.10 eV/f.u.

POSCAR file:
```
MnCuSb
1.0
0.000 3.042 3.042
3.042 0.000 3.042
3.042 3.042 0.000
Mn Cu Sb
1 1 1
direct
0.000 0.000 0.000 Mn
0.250 0.250 0.250 Cu
0.500 0.500 0.500 Sb
```

# 4
Material: Br
Method: DFT, PBE
State: relaxed

Results
**Total magnetic moment**: 0.0 Bohr magnetons per cell
**Formation energy from the elements**: 0.67 eV/f.u.
**Final energy**: -0.97 eV/f.u.

POSCAR file:
```
Br
1.0
0.000 2.363 2.363
2.363 0.000 2.363
2.363 2.363 0.000
Br
1
direct
0.000 0.000 0.000 Br
```

# 5
Material: Gd2MgSe4
Method: DFT, PBE
State: relaxed

Results
**Total magnetic moment**: 28.0 Bohr magnetons per cell
**Formation energy from the elements**: -13.33 eV/f.u.
**MP2020-corrected energy**: -8.152 eV per atom
**Final energy**: -55.18 eV/f.u.

POSCAR file:
```
Gd2MgSe4
1.0
-4.305 4.305 4.496
4.305 -4.305 4.496
4.305 4.305 -4.496
Gd Mg Se
4 2 8
direct
0.007 0.625 0.882 Gd
0.375 0.257 0.382 Gd
0.743 0.125 0.118 Gd
0.875 0.993 0.618 Gd
0.250 0.750 0.500 Mg
0.500 0.500 0.000 Mg
0.007 0.878 0.263 Se
0.122 0.385 0.129 Se
0.135 0.372 0.629 Se
0.257 0.993 0.871 Se
0.493 0.865 0.237 Se
0.615 0.743 0.737 Se
0.628 0.257 0.763 Se
0.743 0.507 0.371 Se
```

# 6
Material: W
Method: DFT, PBE
State: relaxed

Results
**Total magnetic moment**: 0.0 Bohr magnetons per cell
**Formation energy from the elements**: 0.80 eV/f.u.
**Final energy**: -12.15 eV/f.u.

POSCAR file:
```
W
1.0
-1.335 1.335 9.664
1.335 -1.335 9.664
1.335 1.335 -9.664
W
4
direct
0.065 0.315 0.750 W
0.315 0.065 0.250 W
0.685 0.935 0.750 W
0.935 0.685 0.250 W
```